1:
Below is Ce4ZrO10 after structural relaxation, with properties calculated at the PBE level.

Results
SG: I4/mmm (139)
Total moment, μB per formula unit: 0.00

Cell and atoms, written as extended XYZ:
```
15
Lattice="5.793 9.800 7.824 0.850 11.831 7.079 -4.177 -12.083 -5.230" Properties=species:S:1:pos:R:3 pbc="T T T"
O 1.792 2.062 3.505
Ce 2.675 8.710 6.001
O 3.821 8.671 8.059
O 1.115 -0.140 1.988
Ce 1.322 4.306 2.967
O -0.680 3.078 3.133
Zr 0.000 0.000 0.000
O 2.468 4.266 5.023
O -0.003 5.281 4.651
Ce 3.968 12.920 8.902
O 1.350 9.687 7.686
O -1.356 0.876 1.615
Ce 5.320 17.324 11.936
O 3.145 6.469 6.541
O 0.674 7.485 6.169
```

2:
Below is Ce4ZrO10 after structural relaxation, with properties calculated at the PBE level.

Results
SG: R-3m (166)
Total moment, μB per formula unit: 0.00

Cell and atoms, written as extended XYZ:
```
15
Lattice="15.571 -1.918 0.000 15.571 1.918 0.000 15.334 0.000 3.313" Properties=species:S:1:pos:R:3 pbc="T T T"
Ce 28.014 0.000 1.997
Ce 37.143 0.000 2.648
O 6.960 0.000 0.496
O 44.316 0.000 3.159
O 34.745 0.000 2.477
O 30.342 0.000 2.163
O 16.133 0.000 1.150
O 2.160 0.000 0.154
O 20.858 0.000 1.487
O 11.731 0.000 0.836
O 39.515 0.000 2.817
O 25.617 0.000 1.826
Ce 9.333 0.000 0.665
Zr 0.000 0.000 0.000
Ce 18.461 0.000 1.316
```

The energy of each structure relative to the most stable one, in eV/atom, is as follows: 1 0.009; 2 0.000.

1:
Below is Ce3Si6Pd20 after structural relaxation, with properties calculated at the PBE level.

Results
SG: Fm-3m (225)

Cell and atoms, written as extended XYZ:
```
29
Lattice="4.305 -7.317 2.081 -4.345 -6.855 3.244 -1.035 -7.206 -4.838" Properties=species:S:1:pos:R:3 pbc="T T T"
Si -0.768 -9.071 -2.117
Pd -0.677 -4.713 -3.164
Pd 1.312 -7.157 2.484
Si -0.306 -12.307 2.604
Pd 2.816 -4.785 1.361
Pd -0.893 -11.552 -2.056
Pd -2.180 -7.085 -2.042
Ce -0.269 -5.344 0.122
Pd -0.413 -8.210 0.187
Pd -1.353 -7.015 2.842
Pd -0.182 -9.826 2.544
Si 1.232 -12.470 -1.150
Pd -0.662 -13.168 0.300
Pd 1.490 -2.531 0.720
Ce -0.806 -16.033 0.366
Ce 0.000 0.000 0.000
Pd -2.428 -11.390 1.692
Si -2.787 -12.256 -0.610
Pd 1.584 -11.604 1.152
Pd -0.358 -2.493 -1.674
Pd 2.458 -7.278 -0.313
Pd 0.813 -7.244 -2.444
Si 1.712 -9.122 1.097
Pd -2.659 -9.774 -0.665
Pd -3.200 -6.977 0.448
Si -2.306 -8.908 1.638
Pd -2.842 -4.484 2.122
Pd 1.353 -9.988 -1.204
Pd -1.503 -2.372 1.122
```

2:
Below is Ce3Si6Pd20 after structural relaxation, with properties calculated at the PBE level.

Results
SG: P-1 (2)
Total moment, μB per formula unit: 0.64

Cell and atoms, written as extended XYZ:
```
29
Lattice="6.625 -2.520 3.930 1.421 4.743 2.444 -2.160 -3.258 11.637" Properties=species:S:1:pos:R:3 pbc="T T T"
Pd 5.260 2.321 6.867
Pd 0.973 -1.240 7.981
Si 2.145 3.043 5.619
Pd 0.491 2.069 4.018
Pd 3.025 1.575 8.333
Pd 0.027 -0.779 5.259
Si 1.107 -0.957 10.408
Si 4.780 -0.079 7.602
Pd 5.855 -0.255 12.754
Pd 3.727 -0.996 15.636
Pd 0.288 1.473 11.279
Ce -0.738 1.484 14.080
Pd 4.913 0.204 10.029
Si 3.288 -2.096 7.360
Pd 5.945 -0.051 5.419
Pd 5.086 -2.470 11.248
Si 3.742 -4.079 12.395
Pd 3.203 2.334 3.498
Pd -0.056 -0.984 12.592
Si 2.600 1.060 10.649
Pd 5.600 -2.509 6.730
Pd 2.159 -0.039 2.376
Pd 0.629 -3.357 11.144
Pd 5.396 -3.105 13.996
Pd 2.683 -3.367 14.514
Ce 2.753 0.033 5.285
Pd 0.798 1.436 6.766
Ce 3.132 -1.069 12.726
Pd 2.863 -2.609 9.676
```

3:
Below is Ce3Si6Pd20 after structural relaxation, with properties calculated at the PBE level.

Results
SG: P-1 (2)
Total moment, μB per formula unit: 0.34

Cell and atoms, written as extended XYZ:
```
29
Lattice="3.738 -2.453 2.995 -7.426 -1.785 4.896 1.769 -8.053 -8.320" Properties=species:S:1:pos:R:3 pbc="T T T"
Si 0.292 -9.687 -0.946
Ce 0.000 0.000 0.000
Pd -0.307 -4.286 -1.900
Pd -2.331 -6.129 -2.176
Si 1.805 -3.296 -1.221
Pd -5.371 -5.147 1.279
Pd -1.612 -8.005 1.471
Pd 2.254 -4.167 1.337
Pd -0.487 -10.483 -3.095
Pd 0.439 -3.075 4.148
Pd -4.816 -3.373 5.138
Pd -2.358 -9.216 -4.577
Pd 0.128 -2.826 0.544
Pd -0.204 -7.204 -0.819
Si -3.724 -8.995 0.793
Pd 0.412 -6.161 1.747
Pd 3.452 -7.144 -1.708
Pd 2.897 -8.917 -5.566
Ce -0.241 -7.596 -3.418
Si -2.210 -2.603 0.518
Pd -1.431 -1.807 2.667
Pd -1.715 -5.086 0.391
Si 3.423 -5.033 -0.624
Si -5.342 -7.258 0.195
Pd 0.577 -6.986 -5.988
Pd -2.495 -5.304 5.560
Pd -4.173 -8.124 -1.766
Pd -2.047 -9.464 -0.972
Ce -1.678 -4.694 2.990
```

The energy of each structure relative to the most stable one, in eV/atom, is as follows: 1 0.000; 2 0.263; 3 0.346.

1:
Below is CePm3 after structural relaxation, with properties calculated at the PBE level.

Results
SG: I4/mmm (139)
Total moment, μB per formula unit: 1.33

Cell and atoms, written as extended XYZ:
```
4
Lattice="5.071 -3.676 -0.991 2.335 -2.006 5.544 -5.857 -0.089 -2.430" Properties=species:S:1:pos:R:3 pbc="T T T"
Pm 3.703 -2.841 2.277
Pm 0.090 -2.468 2.696
Ce 0.000 0.000 0.000
Pm 1.459 -3.303 -0.572
```

2:
Below is CePm3 after structural relaxation, with properties calculated at the PBE level.

Results
SG: P6_3/mmc (194)
Total moment, μB per formula unit: 1.33

Cell and atoms, written as extended XYZ:
```
8
Lattice="-1.966 7.066 -0.248 -1.620 -4.458 -5.600 -5.218 -1.360 2.593" Properties=species:S:1:pos:R:3 pbc="T T T"
Ce -5.648 -1.637 -1.872
Pm -3.964 0.654 -4.183
Pm -2.173 -0.649 -1.262
Pm -4.840 0.594 0.927
Pm -6.630 1.897 -1.993
Ce -3.155 2.885 -1.384
Pm -5.821 4.123 0.803
Pm -2.982 -2.875 -4.059
```

The energy of each structure relative to the most stable one, in eV/atom, is as follows: 1 0.000; 2 0.011.

1:
Below is CePr3 after structural relaxation, with properties calculated at the PBE level.

Results
SG: I4/mmm (139)
Total moment, μB per formula unit: 1.53

Cell and atoms, written as extended XYZ:
```
4
Lattice="-2.654 2.654 5.344 2.654 -2.654 5.344 2.654 2.654 -5.344" Properties=species:S:1:pos:R:3 pbc="T T T"
Pr 0.000 0.000 5.344
Ce 0.000 0.000 0.000
Pr 2.654 0.000 2.672
Pr 0.000 2.654 2.672
```

2:
Below is CePr3 after structural relaxation, with properties calculated at the PBE level.

Results
SG: Pm-3m (221)
Total moment, μB per formula unit: 1.27

Cell and atoms, written as extended XYZ:
```
4
Lattice="5.214 0.000 0.000 0.000 5.214 0.000 0.000 0.000 5.214" Properties=species:S:1:pos:R:3 pbc="T T T"
Pr 2.607 2.607 0.000
Ce 0.000 0.000 0.000
Pr 0.000 2.607 2.607
Pr 2.607 0.000 2.607
```

The energy of each structure relative to the most stable one, in eV/atom, is as follows: 1 0.014; 2 0.000.

1:
Below is Ce7Pt3 after structural relaxation, with properties calculated at the PBE level.

Results
SG: P6_3mc (186)
Total moment, μB per formula unit: 2.30

Cell and atoms, written as extended XYZ:
```
20
Lattice="1.288 -1.946 -5.771 2.269 8.872 -2.485 6.662 -5.812 3.447" Properties=species:S:1:pos:R:3 pbc="T T T"
Pt 4.563 1.311 0.265
Pt 6.205 4.798 -3.901
Ce 3.504 5.401 -2.911
Ce 5.569 -1.478 -0.194
Ce 2.593 1.837 -1.912
Pt 7.719 -1.442 1.898
Ce 4.748 2.444 -5.057
Ce 6.180 3.067 -1.526
Ce 4.113 -2.064 -3.615
Ce 3.932 5.285 -6.515
Pt 5.130 0.596 -2.724
Pt 1.975 3.349 -4.357
Ce 7.925 1.802 -4.450
Pt 3.489 -2.892 1.443
Ce 2.572 -0.033 -5.026
Ce 7.867 0.813 -0.772
Ce 7.700 -0.835 -3.229
Ce 6.789 -4.399 -2.230
Ce 6.507 -4.504 0.718
Ce 2.514 -1.021 -1.348
```

2:
Below is Ce7Pt3 after structural relaxation, with properties calculated at the PBE level.

Results
SG: P6_3mc (186)
Total moment, μB per formula unit: 4.08

Cell and atoms, written as extended XYZ:
```
20
Lattice="4.988 -8.640 0.000 4.988 8.640 0.000 0.000 0.000 6.176" Properties=species:S:1:pos:R:3 pbc="T T T"
Ce 1.937 1.118 1.568
Ce 1.937 -1.118 4.656
Ce 6.930 4.001 3.309
Pt 7.159 -1.627 1.865
Pt 2.818 -1.627 1.865
Ce 4.988 -2.880 3.509
Pt 4.988 -5.387 1.865
Ce 4.988 -6.404 4.656
Ce 3.047 -4.001 0.221
Ce 3.047 4.001 3.309
Pt 4.988 5.387 4.953
Ce 6.930 -4.001 0.221
Ce 4.988 6.404 1.568
Ce 8.040 1.118 1.568
Ce 4.988 2.880 0.420
Pt 7.159 1.627 4.953
Ce 8.040 -1.118 4.656
Ce 4.988 0.638 3.309
Ce 4.988 -0.638 0.221
Pt 2.818 1.627 4.953
```

The energy of each structure relative to the most stable one, in eV/atom, is as follows: 1 0.134; 2 0.000.

1:
Below is Ce2SiS5 after structural relaxation, with properties calculated at the PBE level.

Results
SG: P2_1/c (14)
Total moment, μB per formula unit: 2.00

Cell and atoms, written as extended XYZ:
```
32
Lattice="-6.005 -10.723 -2.604 5.294 -3.863 3.698 -2.946 -0.114 7.264" Properties=species:S:1:pos:R:3 pbc="T T T"
S -0.629 -10.021 5.211
Ce -1.220 -2.466 2.800
S -2.595 -6.362 0.096
S -3.029 -4.679 3.147
S -0.732 -12.778 0.895
Si -4.626 -7.999 6.181
Si -4.745 -10.783 1.859
S 3.060 -3.550 5.779
S 0.729 -4.736 1.420
Ce -2.438 -12.234 5.557
S -4.387 -9.964 6.937
S -2.879 -7.039 5.463
S 1.568 -1.671 3.121
S 2.285 -6.575 3.886
Ce -6.997 -10.731 5.463
S -5.018 -9.046 0.602
Si 0.969 -6.701 2.176
S -0.497 -4.352 5.160
Si 1.087 -3.917 6.498
S -6.718 -11.150 2.578
S -2.926 -1.922 7.462
Ce -3.681 -4.287 6.004
Ce 0.002 -7.354 5.719
Ce 3.339 -3.969 2.895
Ce 0.023 -10.413 2.354
S -5.943 -8.125 4.472
S -0.778 -7.661 2.895
S -3.161 -10.348 3.198
S 1.360 -5.654 7.755
Ce -3.660 -7.346 2.639
S -1.063 -8.338 8.262
S -5.226 -13.029 5.237
```

2:
Below is Ce2SiS5 after structural relaxation, with properties calculated at the PBE level.

Results
SG: P2_1/c (14)
Total moment, μB per formula unit: 0.00

Cell and atoms, written as extended XYZ:
```
32
Lattice="7.623 0.000 0.000 0.000 8.560 0.000 0.000 0.370 11.254" Properties=species:S:1:pos:R:3 pbc="T T T"
Ce 0.362 4.465 9.226
Ce 3.101 6.423 0.030
S 1.312 4.120 6.531
S 4.026 2.445 5.828
Si 4.446 7.833 3.798
S 2.634 0.396 1.065
S 6.445 8.349 4.562
Ce 0.711 6.608 5.657
S 0.215 6.670 11.053
S 6.517 6.485 7.832
S 4.988 8.534 10.189
Ce 3.450 4.280 3.599
Ce 6.912 2.322 5.597
S 7.407 2.260 0.201
S 4.917 6.301 2.205
Si 3.176 1.097 7.456
S 2.500 3.936 0.904
S 5.264 2.536 2.600
S 1.177 0.581 6.692
S 6.311 4.810 4.723
Si 6.988 8.017 9.425
S 5.123 4.994 10.350
S 1.453 6.209 3.027
S 1.105 2.445 3.422
S 2.706 2.629 9.048
Si 0.635 0.913 1.829
S 3.596 6.485 5.426
S 2.358 6.394 8.654
Ce 4.522 2.507 11.224
Ce 4.173 4.650 7.655
Ce 7.261 4.465 2.028
S 6.169 2.721 8.227
```

The energy of each structure relative to the most stable one, in eV/atom, is as follows: 1 0.000; 2 0.175.